No. 1
The following is a DFT calculation (PBE+U) of crystalline KCo2O4 at its relaxed geometry.

Calculated values
- magnetic moment (μB/atom) = 0.994
- E (MP2020) (eV for the cell shown) = -42.439
- E (eV/f.u.) = -36.4
- calculated formation energy (eV per atom) = -1.0457

abc: 3.047 3.047 11.915
angles: 90.00 90.00 120.00
Fractional coordinates of all 7 atoms:
1 K 0.000 0.000 0.000
2 Co 0.667 0.333 0.255
3 Co 0.667 0.333 0.745
4 O 0.000 0.000 0.327
5 O 0.000 0.000 0.673
6 O 0.333 0.667 0.164
7 O 0.333 0.667 0.836

---

No. 2
The following is a DFT calculation (PBE+U) of crystalline K2CoO2 at its relaxed geometry.

Calculated values
- magnetic moment (μB/atom) = 0.000
- E (MP2020) (eV for the cell shown) = -105.646
- E (eV/f.u.) = -23.4
- calculated formation energy (eV per atom) = -1.4373

abc: 6.636 9.587 7.053
angles: 90.00 117.65 90.00
Fractional coordinates of all 20 atoms:
1 K 0.218 0.000 0.148
2 K 0.218 0.672 0.649
3 K 0.246 0.322 0.885
4 K 0.246 0.350 0.385
5 K 0.754 0.822 0.115
6 K 0.754 0.850 0.615
7 K 0.782 0.172 0.351
8 K 0.782 0.500 0.852
9 Co 0.306 0.019 0.655
10 Co 0.306 0.653 0.156
11 Co 0.694 0.153 0.844
12 Co 0.694 0.519 0.345
13 O 0.048 0.736 0.980
14 O 0.048 0.935 0.480
15 O 0.489 0.068 0.945
16 O 0.489 0.603 0.446
17 O 0.511 0.103 0.554
18 O 0.511 0.568 0.055
19 O 0.952 0.236 0.020
20 O 0.952 0.435 0.520

---

No. 3
The following is a DFT calculation (PBE+U) of crystalline K4Co2O5 at its relaxed geometry.

Calculated values
- magnetic moment (μB/atom) = 0.000
- E (MP2020) (eV for the cell shown) = -116.684
- E (eV/f.u.) = -51.6
- calculated formation energy (eV per atom) = -1.3585

abc: 7.102 7.102 10.402
angles: 90.00 90.00 90.00
Fractional coordinates of all 22 atoms:
1 K 0.000 0.000 0.232
2 K 0.000 0.000 0.768
3 K 0.000 0.500 0.250
4 K 0.000 0.500 0.750
5 K 0.500 0.000 0.250
6 K 0.500 0.000 0.750
7 K 0.500 0.500 0.268
8 K 0.500 0.500 0.732
9 Co 0.176 0.176 0.500
10 Co 0.324 0.676 0.000
11 Co 0.676 0.324 0.000
12 Co 0.824 0.824 0.500
13 O 0.000 0.000 0.500
14 O 0.242 0.242 0.344
15 O 0.242 0.242 0.656
16 O 0.258 0.742 0.156
17 O 0.258 0.742 0.844
18 O 0.500 0.500 0.000
19 O 0.742 0.258 0.156
20 O 0.742 0.258 0.844
21 O 0.758 0.758 0.344
22 O 0.758 0.758 0.656

---

No. 4
The following is a DFT calculation (PBE+U) of crystalline KCo2O4 at its relaxed geometry.

Calculated values
- magnetic moment (μB/atom) = 0.429
- E (MP2020) (eV for the cell shown) = -85.853
- E (eV/f.u.) = -36.9
- calculated formation energy (eV per atom) = -1.1153

abc: 12.090 3.225 5.037
angles: 90.00 90.00 90.00
Fractional coordinates of all 14 atoms:
1 K 0.000 0.000 0.000
2 K 0.000 0.500 0.500
3 Co 0.254 0.000 0.665
4 Co 0.254 0.500 0.165
5 Co 0.746 0.000 0.665
6 Co 0.746 0.500 0.165
7 O 0.161 0.000 0.357
8 O 0.161 0.500 0.857
9 O 0.324 0.000 0.980
10 O 0.324 0.500 0.480
11 O 0.676 0.000 0.980
12 O 0.676 0.500 0.480
13 O 0.839 0.000 0.357
14 O 0.839 0.500 0.857